[1]
Density functional theory data (GGA-PBE) for an optimized crystal structure of Sb2H18C3I9N9.

Geometry as POSCAR:
```
Sb2H18C3I9N9
1.0
5.218 -8.018 0.000
5.218 8.018 0.000
0.000 0.000 22.077
Sb H C I N
4 36 6 18 18
Cartesian
5.218 -3.652 7.612
5.218 3.652 14.465
5.218 -3.652 3.426
5.218 3.652 18.651
4.346 -3.963 12.577
4.346 3.963 9.500
4.346 -3.963 20.538
4.346 3.963 1.539
6.090 3.963 9.500
6.090 -3.963 12.577
6.090 3.963 1.539
6.090 -3.963 20.538
6.404 -0.582 13.619
6.404 0.582 8.458
6.404 -0.582 19.497
6.404 0.582 2.580
4.033 0.582 8.458
4.033 -0.582 13.619
4.033 0.582 2.580
4.033 -0.582 19.497
7.263 -1.989 13.076
7.263 1.989 9.001
7.263 -1.989 20.040
7.263 1.989 2.037
3.174 1.989 9.001
3.174 -1.989 13.076
3.174 1.989 2.037
3.174 -1.989 20.040
6.092 4.842 5.519
6.092 -4.842 16.558
4.344 -4.842 16.558
4.344 4.842 5.519
1.208 0.364 5.519
1.208 -0.364 16.558
9.229 -0.364 16.558
9.229 0.364 5.519
2.043 -1.159 5.519
2.043 1.159 16.558
8.394 1.159 16.558
8.394 -1.159 5.519
5.218 -2.176 13.075
5.218 2.176 9.002
5.218 -2.176 20.040
5.218 2.176 2.037
5.218 6.704 5.519
5.218 -6.704 16.558
8.312 3.100 5.519
8.312 -3.100 16.558
2.124 -3.100 16.558
2.124 3.100 5.519
5.218 -6.063 9.225
5.218 6.063 12.852
5.218 -6.063 1.814
5.218 6.063 20.264
5.218 -1.133 5.519
5.218 1.133 16.558
7.347 -2.371 9.154
7.347 2.371 12.923
7.347 -2.371 1.884
7.347 2.371 20.193
3.090 2.371 12.923
3.090 -2.371 9.154
3.090 2.371 20.193
3.090 -2.371 1.884
5.218 -3.438 12.645
5.218 3.438 9.432
5.218 -3.438 20.471
5.218 3.438 1.606
6.377 -1.546 13.301
6.377 1.546 8.776
6.377 -1.546 19.815
6.377 1.546 2.262
4.059 1.546 8.776
4.059 -1.546 13.301
4.059 1.546 2.262
4.059 -1.546 19.815
5.218 5.367 5.519
5.218 -5.367 16.558
1.162 -0.653 5.519
1.162 0.653 16.558
9.274 0.653 16.558
9.274 -0.653 5.519
```

Values from the calculation:
* crystal system: orthorhombic
* DFT formation energy: -0.43 eV per atom
* SG: Cmcm, No. 63
* final energy: -0.1793 Ha/atom

[2]
Density functional theory data (GGA-PBE) for an optimized crystal structure of TaIn3Se4.

Geometry as POSCAR:
```
TaIn3Se4
1.0
3.026 1.853 5.900
-6.813 0.818 0.560
1.417 -6.605 -1.331
Ta In Se
1 3 4
Cartesian
0.000 0.000 0.000
-1.893 1.335 3.230
-2.698 -2.893 -0.385
2.221 -2.376 2.285
1.062 0.650 2.070
0.497 -2.318 -0.467
-1.538 -2.553 3.329
-2.391 0.287 0.196
```

Values from the calculation:
* crystal system: cubic
* DFT formation energy: -0.71 eV per atom
* SG: I-43m, No. 217
* final energy: -0.1740 Ha/atom

[3]
Density functional theory data (GGA-PBE) for an optimized crystal structure of Mg5Ti.

Geometry as POSCAR:
```
Mg5Ti
1.0
-1.825 1.441 2.045
1.570 -2.533 0.841
11.881 8.821 4.389
Mg Ti
5 1
Cartesian
9.252 7.500 5.318
7.925 5.884 2.928
5.247 4.527 3.838
3.956 2.937 1.461
1.242 1.553 2.358
0.000 0.000 0.000
```

Values from the calculation:
* crystal system: hexagonal
* DFT formation energy: 0.08 eV per atom
* SG: P-6m2, No. 187
* final energy: -0.0943 Ha/atom

[4]
Density functional theory data (GGA-PBE) for an optimized crystal structure of PaZnTc2.

Geometry as POSCAR:
```
PaZnTc2
1.0
-1.087 -4.032 -1.905
-1.008 -3.599 2.663
-4.313 -1.555 0.222
Pa Zn Tc
1 1 2
Cartesian
-1.602 -2.296 0.245
-4.806 -6.889 0.735
-3.204 -4.593 0.490
0.000 0.000 0.000
```

Values from the calculation:
* crystal system: cubic
* DFT formation energy: -0.10 eV per atom
* SG: Fm-3m, No. 225
* final energy: -0.2930 Ha/atom

[5]
Density functional theory data (GGA-PBE) for an optimized crystal structure of NaHfGaP2SO12.

Geometry as POSCAR:
```
NaHfGaP2SO12
1.0
8.724 0.000 0.000
-4.362 7.498 -0.067
0.000 -0.200 22.758
Na Hf Ga P S O
6 6 6 12 6 72
Cartesian
4.303 7.347 11.392
-4.303 7.447 0.013
4.303 2.283 19.023
4.421 2.382 7.644
-0.059 4.915 3.828
0.059 4.815 15.208
8.706 -0.055 8.058
0.017 -0.155 19.438
4.345 2.377 15.622
4.379 2.477 4.243
-0.017 5.010 0.428
0.017 4.910 11.807
8.540 -0.051 14.755
0.184 0.049 3.376
4.178 2.382 22.319
4.546 2.482 10.940
-0.184 5.014 7.124
0.184 4.914 18.503
-1.820 7.406 5.617
-1.197 2.154 5.652
1.197 2.054 17.031
1.820 7.306 16.996
6.904 2.341 13.248
3.165 4.586 13.216
5.559 4.686 1.837
1.820 2.441 1.869
2.542 4.774 20.812
-1.197 7.019 20.780
1.197 7.119 9.401
-2.542 4.873 9.432
3.034 5.309 5.609
-3.034 5.209 16.988
3.034 0.244 13.239
5.689 0.344 1.860
-1.327 2.677 20.803
1.327 2.776 9.424
1.666 0.131 6.935
3.669 5.882 6.833
7.727 1.271 6.908
0.997 1.171 18.287
5.054 5.782 18.213
7.058 0.031 18.314
2.664 7.061 15.740
0.622 1.392 15.768
-3.293 6.007 15.794
3.293 6.107 4.415
-0.622 1.491 4.389
-2.664 7.161 4.361
6.028 2.563 14.499
3.669 0.817 14.464
3.365 3.704 14.472
5.359 3.803 3.093
5.054 0.917 3.085
2.696 2.663 3.120
2.664 2.196 0.612
4.984 4.024 0.574
5.431 1.142 0.666
3.293 1.042 12.045
3.740 3.924 11.953
6.060 2.096 11.991
1.666 4.996 22.063
-0.692 3.250 22.028
-0.997 6.136 22.036
0.997 6.236 10.657
0.692 3.349 10.649
-1.666 5.096 10.683
-1.698 4.629 8.176
0.622 6.457 8.138
1.069 3.574 8.230
-1.069 3.475 19.609
-0.622 6.357 19.517
1.698 4.529 19.555
-3.424 6.142 9.278
2.743 7.270 9.261
0.673 1.424 9.337
-0.673 1.324 20.716
-2.743 7.170 20.640
3.424 6.043 20.657
7.816 1.107 13.394
1.592 0.065 13.425
3.819 5.971 13.397
4.904 6.070 2.017
7.132 0.165 2.046
0.908 1.207 2.015
5.300 1.077 16.908
2.743 2.205 16.892
5.035 3.856 16.901
3.689 3.956 5.522
5.980 2.305 5.512
3.424 1.177 5.529
3.454 3.540 20.958
5.954 2.498 20.989
3.819 0.906 21.027
4.904 1.006 9.648
2.770 2.598 9.610
5.270 3.640 9.579
0.938 3.710 1.714
-1.619 4.837 1.697
0.673 6.489 1.706
-0.673 6.389 13.085
1.619 4.738 13.076
-0.938 3.610 13.093
-0.908 6.172 5.764
1.592 5.130 5.795
-0.543 3.538 5.833
0.543 3.438 17.212
-1.592 5.030 17.174
0.908 6.072 17.143
```

Values from the calculation:
* DFT formation energy: -2.70 eV per atom
* final energy: -0.2635 Ha/atom

[6]
Density functional theory data (GGA-PBE) for an optimized crystal structure of YMg.

Geometry as POSCAR:
```
YMg
1.0
1.724 -8.866 0.000
1.724 8.866 0.000
0.000 0.000 5.562
Y Mg
3 3
Cartesian
1.724 -8.855 0.000
1.724 -2.975 0.000
1.724 0.984 2.781
1.724 2.951 0.000
1.724 6.892 2.781
1.724 -4.908 2.781
```

Values from the calculation:
* crystal system: orthorhombic
* DFT formation energy: 0.05 eV per atom
* SG: Amm2, No. 38
* final energy: -0.1464 Ha/atom

[7]
Density functional theory data (GGA-PBE) for an optimized crystal structure of Sm3CuSnS7.

Geometry as POSCAR:
```
Sm3CuSnS7
1.0
-2.090 9.003 -3.860
-5.820 -7.856 -2.178
-3.541 1.270 4.880
Sm Cu Sn S
6 2 2 14
Cartesian
-7.563 -3.910 1.478
-5.243 0.107 2.116
-3.989 6.364 -2.494
-2.509 2.447 -0.399
-9.044 0.008 -0.617
-6.310 2.348 -3.132
-0.685 0.246 0.945
-2.456 0.881 3.385
-6.286 4.443 0.771
-5.759 -1.812 -1.108
-4.760 4.449 -4.532
-5.896 -5.447 -1.233
-8.029 -2.654 -1.166
-8.605 2.703 -1.430
-2.556 -0.388 -0.126
-1.723 4.463 -2.332
-3.624 1.278 -2.883
-6.127 0.531 -0.615
-4.915 3.951 -1.118
-5.264 7.761 -0.323
-7.929 -1.033 1.882
-7.498 -0.076 -3.794
-3.663 2.390 2.238
-4.992 -2.640 1.034
```

Values from the calculation:
* crystal system: hexagonal
* DFT formation energy: -1.73 eV per atom
* SG: P6_3, No. 173
* piezoelectric modulus e_max: 1.576 C/m²
* final energy: -0.2095 Ha/atom

[8]
Density functional theory data (GGA-PBE) for an optimized crystal structure of Zr6Ga16Pt7.

Geometry as POSCAR:
```
Zr6Ga16Pt7
1.0
0.000 6.263 6.263
6.263 0.000 6.263
6.263 6.263 0.000
Zr Ga Pt
6 16 7
Cartesian
6.263 6.263 8.628
6.263 3.898 6.263
3.898 6.263 6.263
6.263 6.263 3.898
6.263 8.628 6.263
8.628 6.263 6.263
7.771 7.771 11.018
7.771 11.018 7.771
11.018 7.771 7.771
11.018 11.018 11.018
4.755 4.755 1.508
4.755 1.508 4.755
1.508 4.755 4.755
1.508 1.508 1.508
4.247 4.247 8.279
4.247 8.279 4.247
8.279 4.247 4.247
8.279 8.279 8.279
8.279 8.279 4.247
8.279 4.247 8.279
4.247 8.279 8.279
4.247 4.247 4.247
0.000 0.000 0.000
3.131 3.131 0.000
3.131 6.263 3.131
6.263 3.131 3.131
3.131 3.131 6.263
3.131 0.000 3.131
0.000 3.131 3.131
```

Values from the calculation:
* crystal system: cubic
* DFT formation energy: -0.67 eV per atom
* SG: Fm-3m, No. 225
* final energy: -0.2048 Ha/atom

[9]
Density functional theory data (GGA-PBE) for an optimized crystal structure of Sr2LiBeB3O8.

Geometry as POSCAR:
```
Sr2LiBeB3O8
1.0
-5.265 0.188 -3.905
-5.056 -2.194 6.711
-3.776 11.133 5.627
Sr Li Be B O
8 4 4 12 32
Cartesian
-10.668 9.054 6.631
-5.248 5.636 4.667
-3.430 0.072 1.801
-8.849 3.490 3.766
-5.409 9.367 3.457
-12.043 5.378 6.701
-8.688 -0.241 4.976
-2.055 3.748 1.731
-7.713 7.895 7.815
-8.474 6.805 3.282
-6.385 1.231 0.617
-5.624 2.322 5.150
-5.196 8.705 6.656
-8.892 5.920 5.998
-8.901 0.422 1.777
-5.205 3.206 2.435
-9.094 10.546 4.299
-7.092 4.154 6.799
-5.003 -1.419 4.134
-7.005 4.972 1.634
-8.110 9.818 2.067
-8.907 4.912 8.413
-5.988 -0.691 6.365
-5.190 4.215 0.019
-10.686 6.730 4.281
-7.394 8.037 5.412
-3.411 2.396 4.151
-6.704 1.089 3.021
-8.056 10.548 3.308
-7.739 4.138 8.080
-6.042 -1.421 5.124
-6.359 4.988 0.353
-10.253 9.844 4.084
-7.601 4.915 5.777
-3.844 -0.718 4.349
-6.497 4.211 2.656
-5.082 0.152 -0.216
-5.994 3.367 6.676
-9.016 8.974 8.649
-8.103 5.759 1.757
-4.010 9.047 5.574
-9.599 5.560 7.435
-10.088 0.079 2.859
-4.498 3.566 0.997
-11.983 7.508 8.120
-4.133 7.189 3.029
-2.115 1.618 0.312
-9.964 1.937 5.404
-5.092 7.090 6.949
-8.507 7.517 6.067
-9.005 2.036 1.484
-5.590 1.609 2.366
-6.689 9.055 6.078
-9.892 5.659 4.727
-7.409 0.071 2.354
-4.206 3.468 3.706
-6.435 7.039 8.962
-6.969 7.561 4.199
-7.662 2.087 -0.529
-7.129 1.565 4.233
```

Values from the calculation:
* crystal system: monoclinic
* DFT formation energy: -3.09 eV per atom
* SG: P2_1/c, No. 14
* final energy: -0.2681 Ha/atom

[10]
Density functional theory data (GGA-PBE) for an optimized crystal structure of SrNb2O6.

Geometry as POSCAR:
```
SrNb2O6
1.0
5.658 0.000 0.000
0.000 7.850 0.000
0.000 0.061 11.220
Sr Nb O
4 8 24
Cartesian
2.630 2.020 10.774
5.459 5.921 6.056
3.028 5.891 0.446
0.199 1.990 5.164
2.964 0.134 3.997
0.135 7.746 1.613
2.694 7.777 7.223
5.523 0.164 9.607
3.017 4.151 4.013
0.188 3.729 1.596
2.641 3.760 7.206
5.470 4.181 9.623
3.633 5.923 4.172
0.804 1.958 1.438
2.025 1.988 7.048
4.854 5.953 9.782
2.625 1.990 3.971
5.454 5.890 1.639
3.033 5.921 7.249
0.204 2.020 9.581
3.642 3.561 8.822
0.814 4.380 8.008
2.015 4.350 2.398
4.844 3.531 3.212
4.408 0.267 0.283
1.579 7.614 5.326
1.250 7.644 10.936
4.079 0.297 5.893
4.083 3.693 5.893
1.254 4.248 10.936
1.575 4.218 5.326
4.404 3.662 0.283
3.610 0.431 8.835
0.782 7.510 7.995
2.047 7.480 2.385
4.876 0.401 3.225
```

Values from the calculation:
* crystal system: monoclinic
* DFT formation energy: -3.24 eV per atom
* SG: P2_1/c, No. 14
* final energy: -0.3128 Ha/atom